# TiCo4N4

An optimized crystal structure of TiCo4N4 (PBE-GGA, the Materials Project database).

a b c (Å): 4.8728 5.0001 7.6407
angles (deg): 72.95 81.67 69.56
Sites, in units of the cell vectors:
1 Ti 0.7140 0.8683 0.7802
2 Ti 0.2860 0.1317 0.2198
3 Co 0.7629 0.5979 0.2169
4 Co 0.2371 0.4021 0.7831
5 Co 0.7483 0.2726 0.9552
6 Co 0.2517 0.7274 0.0448
7 Co 0.7464 0.4550 0.5985
8 Co 0.2536 0.5450 0.4015
9 Co 0.2539 0.9533 0.5989
10 Co 0.7461 0.0467 0.4011
11 N 0.9891 0.7158 0.5829
12 N 0.0109 0.2842 0.4171
13 N 0.8467 0.8600 0.0136
14 N 0.1533 0.1400 0.9864
15 N 0.4546 0.6299 0.8131
16 N 0.5454 0.3701 0.1869
17 N 0.5150 0.7875 0.4056
18 N 0.4850 0.2125 0.5944

## Properties
* energy with MP2020 corrections: -143.546 eV for the cell shown
* spin magnetization: 0.015 μB/f.u.
* formation energy from the elements: -0.23 eV per atom
* DFT total energy: -140.7 eV per cell